1.
! CaGa4O7 r²SCAN optimized geometry; values from VASP
! Symmetry   C2/c, No. 15
&SYSTEM
  ibrav = 0, nat = 24, ntyp = 3
/
ATOMIC_SPECIES
Ga 69.72 Ga.upf
O 16.00 O.upf
Ca 40.08 Ca.upf
CELL_PARAMETERS angstrom
-4.765 -5.430 -3.440
-1.267 1.885 -7.673
3.709 -3.306 -2.649
ATOMIC_POSITIONS angstrom
Ga -0.587 -1.623 -4.973
Ga 2.295 -2.462 -3.617
O -0.118 -4.682 -9.503
O -0.955 0.006 -5.713
Ga -0.005 -1.741 -1.754
Ga -1.736 -5.229 -8.788
O -1.476 -1.553 -8.837
Ga -2.995 -2.330 -8.185
O 2.035 -4.177 -4.321
O -0.847 -5.299 -4.925
O -3.713 -5.995 -4.254
Ca -2.815 -4.119 -5.339
Ca 0.492 -2.733 -8.422
Ga -2.318 -5.111 -12.008
O -1.368 -6.858 -8.048
Ga -4.618 -4.390 -10.144
O -2.438 -4.001 -7.616
O 0.115 -2.851 -6.146
O 0.611 -1.624 -3.518
O -2.934 -5.228 -10.244
O -2.205 -2.170 -4.258
Ga 0.672 -4.522 -5.577
O -4.358 -2.675 -9.440
O 1.389 -0.857 -9.508

***

2.
! Ca2VGaO6 r²SCAN optimized geometry; values from VASP
! Symmetry   Fm-3m, No. 225
&SYSTEM
  ibrav = 0, nat = 10, ntyp = 4
/
ATOMIC_SPECIES
V 50.94 V.upf
O 16.00 O.upf
Ga 69.72 Ga.upf
Ca 40.08 Ca.upf
CELL_PARAMETERS angstrom
-2.051 -4.702 1.571
-3.264 -0.216 4.252
-5.225 -1.008 -0.678
ATOMIC_POSITIONS angstrom
V -5.270 -2.963 2.573
O -6.847 -2.111 3.063
O -5.292 -3.920 4.165
O -4.287 -1.617 3.395
Ga 0.000 0.000 0.000
Ca -7.905 -4.444 3.859
O -5.248 -2.005 0.980
Ca -2.635 -1.481 1.286
O -3.693 -3.815 2.082
O -6.253 -4.309 1.750

***

3.
! Ca3Ga2P4 r²SCAN optimized geometry; values from VASP
! Symmetry   C2/c, No. 15
&SYSTEM
  ibrav = 0, nat = 18, ntyp = 3
/
ATOMIC_SPECIES
P 30.97 P.upf
Ga 69.72 Ga.upf
Ca 40.08 Ca.upf
CELL_PARAMETERS angstrom
-3.542 -6.586 2.883
6.111 -4.724 2.138
-0.025 2.504 5.941
ATOMIC_POSITIONS angstrom
P -1.600 -6.250 6.428
Ga -0.411 -3.359 2.127
Ca 4.549 -1.147 7.408
Ca 2.249 -4.841 3.920
Ca 0.295 -3.964 7.041
P 4.145 -2.555 4.533
P -2.198 -2.524 7.992
P 0.832 -7.407 3.718
Ca -2.640 -3.788 4.993
Ca 5.185 -5.017 5.968
Ga 0.623 -7.150 6.045
Ga 1.922 -1.655 4.916
P 2.515 -5.828 6.557
P 1.713 -1.398 7.244
Ga 2.955 -5.446 8.834
P 0.030 -2.977 4.404
Ca -2.005 -7.658 3.553
P 4.743 -6.281 2.969

***

4.
! CaGa2P2 r²SCAN optimized geometry; values from VASP
! Symmetry   P6_3/mmc, No. 194
&SYSTEM
  ibrav = 0, nat = 10, ntyp = 3
/
ATOMIC_SPECIES
P 30.97 P.upf
Ca 40.08 Ca.upf
Ga 69.72 Ga.upf
CELL_PARAMETERS angstrom
1.920 -3.326 0.000
1.920 3.326 0.000
0.000 0.000 16.400
ATOMIC_POSITIONS angstrom
P 1.920 -1.109 6.306
Ca 0.000 0.000 8.200
Ga 1.920 -1.109 11.078
Ca 0.000 0.000 0.000
Ga 1.920 -1.109 13.522
Ga 1.920 1.109 2.878
P 1.920 1.109 14.506
P 1.920 -1.109 1.894
Ga 1.920 1.109 5.322
P 1.920 1.109 10.094

***

5.
! Ca2GaPd2 r²SCAN optimized geometry; values from VASP
! Symmetry   C2/c, No. 15
&SYSTEM
  ibrav = 0, nat = 10, ntyp = 3
/
ATOMIC_SPECIES
Pd 106.42 Pd.upf
Ca 40.08 Ca.upf
Ga 69.72 Ga.upf
CELL_PARAMETERS angstrom
2.853 4.948 -0.014
-2.853 4.948 -0.014
0.000 1.763 7.582
ATOMIC_POSITIONS angstrom
Pd 2.100 4.570 3.799
Pd -2.100 3.689 0.008
Ca -0.769 7.931 6.428
Ga 2.093 6.270 5.672
Ca 0.769 3.728 1.125
Pd -2.100 7.088 3.754
Ca -0.769 4.609 4.916
Pd 2.100 7.969 7.545
Ca 0.769 7.049 2.637
Ga -2.093 5.388 1.881

***

6.
! Ca3Ga2Pt2 r²SCAN optimized geometry; values from VASP
! Symmetry   Pbcm, No. 57
&SYSTEM
  ibrav = 0, nat = 28, ntyp = 3
/
ATOMIC_SPECIES
Pt 195.08 Pt.upf
Ca 40.08 Ca.upf
Ga 69.72 Ga.upf
CELL_PARAMETERS angstrom
5.783 0.000 0.000
0.000 7.851 0.000
0.000 0.000 13.808
ATOMIC_POSITIONS angstrom
Pt 2.091 7.608 5.611
Ca 2.143 1.909 10.356
Ga 4.951 3.213 3.452
Ga 4.951 0.713 10.356
Pt 2.091 4.169 12.515
Pt 3.692 0.243 12.515
Ga 2.197 1.963 6.904
Ca 4.956 0.835 1.357
Pt 2.091 4.169 8.197
Ga 3.586 5.888 6.904
Ca 4.956 3.090 12.451
Ca 0.827 4.761 1.357
Ca 0.827 7.016 8.261
Ga 2.197 1.963 0.000
Pt 3.692 3.682 1.293
Ca 4.956 3.090 8.261
Ga 3.586 5.888 0.000
Pt 2.091 7.608 1.293
Ca 4.956 0.835 5.547
Ca 3.640 5.835 10.356
Ga 0.831 7.138 3.452
Ca 0.827 4.761 5.547
Ga 0.831 4.638 10.356
Ca 0.827 7.016 12.451
Pt 3.692 0.243 8.197
Ca 2.143 2.016 3.452
Ca 3.640 5.942 3.452
Pt 3.692 3.682 5.611

***

7.
! CaGaPt r²SCAN optimized geometry; values from VASP
! Symmetry   Pnma, No. 62
&SYSTEM
  ibrav = 0, nat = 12, ntyp = 3
/
ATOMIC_SPECIES
Pt 195.08 Pt.upf
Ca 40.08 Ca.upf
Ga 69.72 Ga.upf
CELL_PARAMETERS angstrom
4.443 0.000 0.000
0.000 7.113 0.000
0.000 0.000 7.546
ATOMIC_POSITIONS angstrom
Pt 1.111 2.100 2.987
Ca 1.111 3.638 6.130
Ca 1.111 0.082 5.189
Ga 1.111 1.165 0.569
Ca 3.332 7.031 2.357
Ca 3.332 3.474 1.416
Pt 3.332 5.013 4.559
Ga 3.332 5.948 6.977
Pt 1.111 5.657 0.786
Pt 3.332 1.456 6.761
Ga 3.332 2.391 4.342
Ga 1.111 4.722 3.204

***

8.
! CaGa2S4 r²SCAN optimized geometry; values from VASP
! Symmetry   Cccm, No. 66
&SYSTEM
  ibrav = 0, nat = 14, ntyp = 3
/
ATOMIC_SPECIES
S 32.06 S.upf
Ga 69.72 Ga.upf
Ca 40.08 Ca.upf
CELL_PARAMETERS angstrom
0.011 2.929 5.121
-5.175 -1.533 -2.382
0.291 -8.847 5.060
ATOMIC_POSITIONS angstrom
S 0.247 -5.882 6.762
Ga -1.065 -2.536 5.899
Ca -2.509 -1.514 2.634
Ca -2.363 -5.937 5.164
Ga -1.194 1.883 3.361
S -3.333 1.378 2.602
S -0.841 -3.680 3.887
S -4.031 -3.771 3.911
S -1.830 0.018 0.137
S -2.491 -3.689 0.480
Ga -3.808 -4.915 1.899
Ga -3.970 -0.487 -0.622
S -2.392 -6.691 2.197
S 0.055 -0.036 3.419

***

9.
! Ca11GaSb9 r²SCAN optimized geometry; values from VASP
! Symmetry   Iba2, No. 45
&SYSTEM
  ibrav = 0, nat = 42, ntyp = 3
/
ATOMIC_SPECIES
Sb 121.76 Sb.upf
Ca 40.08 Ca.upf
Ga 69.72 Ga.upf
CELL_PARAMETERS angstrom
-5.928 6.264 8.396
5.928 -6.264 8.396
5.928 6.264 -8.396
ATOMIC_POSITIONS angstrom
Sb 1.701 -1.704 6.062
Sb 0.418 4.896 2.956
Ca 8.093 -0.711 5.059
Ca -2.165 5.553 5.059
Ca 3.764 0.711 5.059
Sb 3.838 -4.022 8.264
Sb -4.228 7.968 6.062
Sb 2.090 2.242 8.264
Sb 5.928 0.000 7.092
Ca 5.064 2.799 8.636
Ca 6.792 2.799 0.241
Ca -0.864 3.465 8.636
Sb 1.552 -1.424 11.271
Sb 4.228 7.968 -2.334
Sb -0.418 7.633 2.956
Sb 5.510 -1.368 2.956
Ca 5.928 6.264 -0.094
Ca 3.760 -0.660 9.162
Sb 1.551 1.424 2.876
Sb 2.090 10.287 -0.132
Ca 5.928 6.264 8.302
Ga 5.928 6.264 -3.727
Ga 5.928 6.264 4.669
Ca 0.864 3.465 0.241
Ca 2.169 6.924 0.766
Ca 7.013 2.845 5.582
Ca 4.059 4.106 2.923
Sb 4.377 7.689 2.876
Sb 4.228 4.560 6.062
Ca 1.869 2.158 11.319
Ca 2.168 5.604 9.162
Ca 4.843 -2.845 5.582
Sb 0.000 6.265 7.092
Ca 7.797 4.106 -5.472
Sb 4.377 4.839 -5.520
Ca 1.085 3.419 5.582
Ca 3.760 0.660 0.766
Ca 4.843 2.845 -2.814
Ca 2.165 6.975 5.059
Sb 6.346 1.369 2.956
Sb 3.838 4.022 -0.132
Ca -1.869 2.158 2.923

***

10.
! Ca2ZnGa3 r²SCAN optimized geometry; values from VASP
! Symmetry   Cm, No. 8
&SYSTEM
  ibrav = 0, nat = 6, ntyp = 3
/
ATOMIC_SPECIES
Ca 40.08 Ca.upf
Ga 69.72 Ga.upf
Zn 65.41 Zn.upf
CELL_PARAMETERS angstrom
-5.616 -0.267 1.130
-3.288 -3.525 3.106
-3.550 1.275 6.284
ATOMIC_POSITIONS angstrom
Ca -6.891 -0.727 6.918
Ga -2.835 -0.101 3.173
Ga -4.236 0.366 5.594
Ga -8.256 -2.909 4.930
Ca -5.575 -1.795 3.608
Zn -9.569 -2.387 7.337

***

11.
! CaGdPd2 r²SCAN optimized geometry; values from VASP
! Symmetry   Fm-3m, No. 225
&SYSTEM
  ibrav = 0, nat = 4, ntyp = 3
/
ATOMIC_SPECIES
Gd 157.25 Gd.upf
Ca 40.08 Ca.upf
Pd 106.42 Pd.upf
CELL_PARAMETERS angstrom
-4.103 -2.066 1.891
-3.795 -1.168 -2.985
-1.044 -4.764 -0.943
ATOMIC_POSITIONS angstrom
Gd 0.000 0.000 0.000
Ca -4.471 -3.999 -1.019
Pd -2.236 -1.999 -0.509
Pd -6.707 -5.998 -1.528

***

12.
! Ca5Ge3 r²SCAN optimized geometry; values from VASP
! Symmetry   I4/mcm, No. 140
&SYSTEM
  ibrav = 0, nat = 16, ntyp = 2
/
ATOMIC_SPECIES
Ca 40.08 Ca.upf
Ge 72.64 Ge.upf
CELL_PARAMETERS angstrom
-0.686 4.110 -6.486
6.410 -3.278 -2.755
-6.918 -5.826 1.619
ATOMIC_POSITIONS angstrom
Ca 3.104 -2.993 -3.867
Ca 0.366 0.818 -7.041
Ge 3.352 1.604 -7.426
Ge -2.028 -2.704 -1.501
Ca 3.669 -1.403 -7.499
Ge 0.329 2.152 -4.328
Ca -0.199 -0.772 -3.408
Ge 0.835 -2.290 -6.121
Ca 0.000 0.000 0.000
Ge -4.545 -6.598 -0.196
Ge -1.522 -7.146 -3.294
Ca -1.559 -5.813 -0.581
Ca -4.297 -2.001 -3.754
Ca -0.994 -4.223 -4.214
Ca 2.862 0.416 -4.621
Ca -4.862 -3.591 -0.122

***

13.
! Ca5Ge3H r²SCAN optimized geometry; values from VASP
! Symmetry   I4/mcm, No. 140
&SYSTEM
  ibrav = 0, nat = 18, ntyp = 3
/
ATOMIC_SPECIES
Ge 72.64 Ge.upf
Ca 40.08 Ca.upf
H 1.01 H.upf
CELL_PARAMETERS angstrom
0.773 2.129 8.802
4.808 7.705 0.355
-7.400 -2.027 -4.873
ATOMIC_POSITIONS angstrom
Ge 1.026 7.108 3.302
Ca -5.687 -0.457 0.496
Ge 1.395 2.458 2.289
Ca 3.868 8.264 3.789
Ca -2.804 0.437 -2.221
H -1.918 2.509 4.254
Ca 0.000 0.000 0.000
Ca 2.791 4.917 4.579
Ge -2.367 3.511 -2.327
Ca -4.016 2.487 3.238
H 0.100 5.297 0.031
Ca -0.685 4.426 3.764
Ge 0.549 4.296 6.612
Ca 2.197 5.320 1.047
Ge -2.844 0.699 0.983
Ca -1.133 3.381 0.521
Ca 0.986 7.370 6.506
Ge 4.186 7.375 6.868

***

14.
! Ca2HgGe r²SCAN optimized geometry; values from VASP
! Symmetry   Fm-3m, No. 225
&SYSTEM
  ibrav = 0, nat = 4, ntyp = 3
/
ATOMIC_SPECIES
Ge 72.64 Ge.upf
Hg 200.59 Hg.upf
Ca 40.08 Ca.upf
CELL_PARAMETERS angstrom
0.000 3.705 3.705
3.705 0.000 3.705
3.705 3.705 0.000
ATOMIC_POSITIONS angstrom
Ge 3.705 3.705 3.705
Hg 0.000 0.000 0.000
Ca 1.853 1.853 1.853
Ca 5.558 5.558 5.558

***

15.
! Ca3Ge13Ir4 r²SCAN optimized geometry; values from VASP
! Symmetry   Pm-3n, No. 223
&SYSTEM
  ibrav = 0, nat = 40, ntyp = 3
/
ATOMIC_SPECIES
Ir 192.22 Ir.upf
Ca 40.08 Ca.upf
Ge 72.64 Ge.upf
CELL_PARAMETERS angstrom
-2.071 -5.642 6.766
7.424 2.624 4.461
-4.743 6.571 4.028
ATOMIC_POSITIONS angstrom
Ir -0.883 -1.933 7.197
Ca -2.889 1.875 3.706
Ir 3.865 2.201 6.044
Ge 1.968 3.812 6.264
Ge 3.028 6.886 6.669
Ir 0.153 0.888 3.814
Ir -2.219 4.174 5.828
Ir 0.458 2.665 11.441
Ir 2.830 -0.621 9.427
Ge 1.411 -0.960 7.398
Ge 1.823 3.481 9.514
Ca 2.526 2.955 3.237
Ge 3.167 1.620 8.372
Ir -3.254 1.353 9.211
Ge -2.132 -3.048 5.342
Ge -1.387 2.915 9.774
Ge 1.997 0.638 5.481
Ge -1.357 -0.259 8.991
Ge 1.896 -0.025 2.274
Ge 0.412 -4.069 7.123
Ge -0.347 2.309 1.820
Ge 4.942 1.051 4.104
Ca -3.925 -0.946 7.089
Ca 4.533 -0.853 6.729
Ge -2.293 5.005 3.472
Ge 0.305 1.777 7.628
Ge -2.556 1.934 6.883
Ge 3.458 -2.993 8.953
Ir 1.493 5.486 8.058
Ca 0.155 6.241 5.252
Ge -1.212 0.072 5.742
Ge -5.531 1.662 8.229
Ge -0.136 3.069 5.001
Ge 0.747 0.485 10.255
Ge 0.000 0.000 0.000
Ge -4.682 3.977 5.453
Ge 4.974 4.190 5.017
Ge -1.282 -0.733 2.566
Ca 0.821 -2.165 4.498
Ge -0.800 4.514 7.857

***

16.
! CaLu2GeO6 r²SCAN optimized geometry; values from VASP
! Symmetry   Fm-3m, No. 225
&SYSTEM
  ibrav = 0, nat = 10, ntyp = 4
/
ATOMIC_SPECIES
O 16.00 O.upf
Ca 40.08 Ca.upf
Ge 72.64 Ge.upf
Lu 174.97 Lu.upf
CELL_PARAMETERS angstrom
0.000 3.915 3.915
3.915 0.000 3.915
3.915 3.915 0.000
ATOMIC_POSITIONS angstrom
O 3.915 3.915 2.092
Ca 0.000 0.000 0.000
O 2.092 3.915 3.915
O 5.738 3.915 3.915
O 3.915 2.092 3.915
Ge 3.915 3.915 3.915
Lu 1.957 1.957 1.957
Lu 5.872 5.872 5.872
O 3.915 3.915 5.738
O 3.915 5.738 3.915

***

17.
! CaMn2Ge2 r²SCAN optimized geometry; values from VASP
! Symmetry   I4/mmm, No. 139
&SYSTEM
  ibrav = 0, nat = 5, ntyp = 3
/
ATOMIC_SPECIES
Ge 72.64 Ge.upf
Mn 54.94 Mn.upf
Ca 40.08 Ca.upf
CELL_PARAMETERS angstrom
2.953 4.204 3.529
-2.872 3.376 4.382
0.554 -5.896 -1.944
ATOMIC_POSITIONS angstrom
Ge 0.031 2.895 3.021
Mn 1.773 1.049 2.771
Mn -1.139 0.635 3.197
Ca 0.000 0.000 0.000
Ge 0.050 4.685 4.890

***

18.
! Ca3GeN r²SCAN optimized geometry; values from VASP
! Symmetry   Pm-3m, No. 221
&SYSTEM
  ibrav = 0, nat = 5, ntyp = 3
/
ATOMIC_SPECIES
N 14.01 N.upf
Ge 72.64 Ge.upf
Ca 40.08 Ca.upf
CELL_PARAMETERS angstrom
-3.201 -1.993 -2.976
1.569 -4.369 1.238
-3.220 -0.147 3.562
ATOMIC_POSITIONS angstrom
N -2.427 -3.254 0.912
Ge 0.000 0.000 0.000
Ca -0.826 -2.258 2.400
Ca -3.211 -1.070 0.293
Ca -0.816 -3.181 -0.869

***

Number 1: total moment 0.0 μB per formula unit, formation enthalpy at 0 K -2.30 eV per atom. Number 2: total moment 0.0 μB per formula unit, formation enthalpy at 0 K -2.75 eV per atom. Number 3: total moment 0.0 μB per formula unit, formation enthalpy at 0 K -1.03 eV per atom. Number 4: total moment 0.0 μB per formula unit, formation enthalpy at 0 K -0.80 eV per atom. Number 5: total moment 0.0 μB per formula unit, formation enthalpy at 0 K -0.80 eV per atom. Number 6: total moment 0.0 μB per formula unit, formation enthalpy at 0 K -0.94 eV per atom. Number 7: total moment 0.0 μB per formula unit, formation enthalpy at 0 K -0.99 eV per atom. Number 8: total moment 0.0 μB per formula unit, formation enthalpy at 0 K -1.28 eV per atom. Number 9: total moment 0.0 μB per formula unit, formation enthalpy at 0 K -1.15 eV per atom. Number 10: total moment 0.0 μB per formula unit, formation enthalpy at 0 K -0.54 eV per atom. Number 11: total moment 7.2 μB per formula unit, formation enthalpy at 0 K -0.74 eV per atom. Number 12: total moment 0.0 μB per formula unit, formation enthalpy at 0 K -0.72 eV per atom. Number 13: total moment 0.9 μB per formula unit, formation enthalpy at 0 K -0.73 eV per atom. Number 14: total moment 0.0 μB per formula unit, formation enthalpy at 0 K -0.66 eV per atom. Number 15: total moment 0.0 μB per formula unit, formation enthalpy at 0 K -0.43 eV per atom. Number 16: total moment 0.0 μB per formula unit, formation enthalpy at 0 K -2.58 eV per atom. Number 17: total moment 7.6 μB per formula unit, formation enthalpy at 0 K -0.50 eV per atom. Number 18: total moment 0.4 μB per formula unit, formation enthalpy at 0 K -0.86 eV per atom.